Entry 1:
Crystalline TmRu3C at its relaxed geometry. Source: Materials Project, functional meta-GGA r2SCAN.

Structure (POSCAR):
```
TmRu3C
1.0
-3.1482 -0.9220 -2.4831
2.6297 -1.5494 -2.7588
-0.3169 -3.6981 1.7749
Ru Tm C
3 1 1
Cartesian
1.3149 -0.7747 -1.3794 Ru
-1.5741 -0.4610 -1.2416 Ru
-0.1585 -1.8491 0.8875 Ru
-0.4177 -3.0848 -1.7335 Tm
0.0000 0.0000 0.0000 C
```

Computed properties:
M_tot   0.00 μB/atom
ΔH_f (0 K)   -0.3093 eV per atom
Calculated total energy   -0.903 Ha/atom
Space-group type   Pm-3m

Entry 2:
Crystalline CaCo2Ge2 at its relaxed geometry. Source: Materials Project, functional meta-GGA r2SCAN.

Structure (POSCAR):
```
CaCo2Ge2
1.0
-2.2908 1.4084 2.8804
-1.7190 -3.5278 0.3578
5.5343 -0.3077 1.8564
Ge Co Ca
2 2 1
Cartesian
2.5913 -1.0039 2.5517 Ge
-1.0668 -1.4231 2.5429 Ge
0.9052 -2.4475 1.9167 Co
0.6193 0.0206 3.1780 Co
0.0000 0.0000 0.0000 Ca
```

Computed properties:
M_tot   0.00 μB/atom
ΔH_f (0 K)   -0.4136 eV per atom
Calculated total energy   -0.465 Ha/atom
Space-group type   I4/mmm

Entry 3:
Crystalline LaCdAg2 at its relaxed geometry. Source: Materials Project, functional meta-GGA r2SCAN.

Structure (POSCAR):
```
LaCdAg2
1.0
0.0000 3.6006 3.6006
3.6006 0.0000 3.6006
3.6006 3.6006 0.0000
Ag Cd La
2 1 1
Cartesian
3.6006 3.6006 3.6006 Ag
0.0000 0.0000 0.0000 Ag
1.8003 1.8003 1.8003 Cd
5.4009 5.4009 5.4009 La
```

Computed properties:
M_tot   0.00 μB/atom
ΔH_f (0 K)   -0.2774 eV per atom
Calculated total energy   -0.861 Ha/atom
Space-group type   Fm-3m

Entry 4:
Crystalline CeZn3 at its relaxed geometry. Source: Materials Project, functional meta-GGA r2SCAN.

Structure (POSCAR):
```
CeZn3
1.0
0.0000 -4.5715 0.0000
-6.5641 0.0000 0.0000
0.0000 0.0000 -10.3258
Ce Zn
4 12
Cartesian
-4.9519 -1.1429 -1.5611 Ce
-4.8942 -3.4286 -6.7240 Ce
-1.6698 -1.1429 -3.6018 Ce
-1.6122 -3.4286 -8.7647 Ce
-2.9298 -3.4286 -1.2914 Zn
-4.9689 -3.4286 -9.8396 Zn
-1.5952 -1.1429 -0.4862 Zn
-6.1262 -1.1429 -8.9258 Zn
-1.6869 -3.4286 -5.6491 Zn
-0.4379 -3.4286 -1.3999 Zn
-3.7199 -3.4286 -3.7629 Zn
-6.2118 -3.4286 -3.8714 Zn
-2.8441 -1.1429 -6.5628 Zn
-3.6343 -1.1429 -9.0343 Zn
-0.3522 -1.1429 -6.4543 Zn
-4.8772 -1.1429 -4.6767 Zn
```

Computed properties:
M_tot   0.27 μB/atom
ΔH_f (0 K)   -0.3265 eV per atom
Calculated total energy   -0.541 Ha/atom
Space-group type   Pnma

Entry 5:
Crystalline Tl3CrF6 at its relaxed geometry. Source: Materials Project, functional meta-GGA r2SCAN.

Structure (POSCAR):
```
Tl3CrF6
1.0
0.0000 4.4901 4.4900
4.4900 0.0000 4.4900
4.4900 4.4901 0.0000
F Tl Cr
6 3 1
Cartesian
7.0693 4.4901 4.4900 F
4.4900 4.4901 7.0693 F
1.9108 4.4901 4.4900 F
4.4900 1.9109 4.4900 F
4.4900 4.4901 1.9108 F
4.4900 7.0693 4.4900 F
6.7351 6.7351 6.7351 Tl
2.2450 2.2450 2.2450 Tl
4.4900 4.4901 4.4900 Tl
0.0000 0.0000 0.0000 Cr
```

Computed properties:
M_tot   0.30 μB/atom
ΔH_f (0 K)   -2.3911 eV per atom
Calculated total energy   -0.798 Ha/atom
Space-group type   Fm-3m

Entry 6:
Crystalline Tm2Si2O7 at its relaxed geometry. Source: Materials Project, functional meta-GGA r2SCAN.

Structure (POSCAR):
```
Tm2Si2O7
1.0
0.8759 2.3094 -4.0193
-1.2586 4.4455 3.1065
5.2805 -1.2165 1.2784
Tm O Si
2 7 2
Cartesian
3.7092 1.6779 -0.1696 Tm
1.1885 3.8605 0.5352 Tm
1.7346 1.7394 0.8174 O
2.3258 3.9711 2.4983 O
0.0000 0.0000 0.0000 O
3.1631 3.7990 -0.4518 O
4.3075 2.2553 1.9442 O
2.5720 1.5673 -2.1326 O
0.5903 3.2831 -1.5786 O
1.6829 2.8151 -2.6990 Si
3.2148 2.7233 3.0646 Si
```

Computed properties:
M_tot   0.00 μB/atom
ΔH_f (0 K)   -3.5765 eV per atom
Calculated total energy   -0.564 Ha/atom
Space-group type   C2/m

Entry 7:
Crystalline BaU2S5 at its relaxed geometry. Source: Materials Project, functional meta-GGA r2SCAN.

Structure (POSCAR):
```
BaU2S5
1.0
7.6112 0.0000 0.0000
0.0000 8.5134 0.0070
0.0000 0.1137 11.8811
S U Ba
20 8 4
Cartesian
6.1829 1.9218 2.5395 S
5.1485 4.5894 5.0947 S
1.2024 1.9360 9.6401 S
1.2046 0.3494 1.1960 S
3.4334 6.7707 0.0335 S
2.4627 4.0377 6.7934 S
7.2390 1.7995 5.9141 S
2.6032 1.8792 3.6995 S
6.4088 6.6910 2.2481 S
1.4283 6.7052 9.3486 S
5.0102 8.2208 4.7516 S
5.2339 1.9786 8.4801 S
2.3773 6.6484 3.4080 S
1.3429 3.9808 0.8528 S
2.6010 0.4063 7.1365 S
6.4067 8.2776 10.6922 S
6.2683 4.6462 11.0353 S
4.1779 1.8563 11.8547 S
5.0081 6.7479 8.1886 S
0.3723 6.8276 5.9740 S
3.9394 0.0454 2.1204 U
0.1338 8.5249 3.8272 U
0.4860 6.4272 0.0845 U
3.6718 8.5817 9.7678 U
7.4775 0.1022 8.0609 U
3.3196 6.4840 6.0251 U
4.2916 2.1430 5.8631 U
7.1252 2.1999 11.8036 U
7.1955 4.4083 7.9453 Ba
0.4157 4.2188 3.9428 Ba
4.2213 4.3515 2.0047 Ba
3.3899 4.2756 9.8834 Ba
```

Computed properties:
M_tot   0.50 μB/atom
ΔH_f (0 K)   -2.0152 eV per atom
Calculated total energy   -1.115 Ha/atom
Space-group type   P2_1/c

Entry 8:
Crystalline SmCoO3 at its relaxed geometry. Source: Materials Project, functional meta-GGA r2SCAN.

Structure (POSCAR):
```
SmCoO3
1.0
5.2555 0.0000 0.0000
0.0000 5.3801 0.0000
0.0000 0.0000 7.4923
O Co Sm
12 4 4
Cartesian
1.5509 3.8038 4.0616 O
4.1787 4.2664 3.4307 O
0.4214 2.6132 1.8731 O
1.0769 1.1137 4.0616 O
3.7046 1.5763 3.4307 O
1.0769 1.1137 7.1768 O
3.0492 0.0768 5.6192 O
4.1787 4.2664 0.3155 O
3.7046 1.5763 0.3155 O
2.2063 5.3033 1.8731 O
4.8341 2.7669 5.6192 O
1.5509 3.8038 7.1768 O
0.0000 2.6901 0.0000 Co
2.6278 0.0000 0.0000 Co
0.0000 2.6901 3.7462 Co
2.6278 0.0000 3.7462 Co
5.1929 0.2912 1.8731 Sm
0.0626 5.0890 5.6192 Sm
2.5652 2.3989 5.6192 Sm
2.6904 2.9812 1.8731 Sm
```

Computed properties:
M_tot   0.00 μB/atom
ΔH_f (0 K)   -2.5719 eV per atom
Calculated total energy   -0.542 Ha/atom
Space-group type   Pnma

The lowest ΔH_f (0 K) belongs to which entry?
Tm2Si2O7

Which formula does entry 1 have?
TmRu3C

M_tot of number 5 (Tl3CrF6)?
0.30 μB/atom